Compound: MgMn12O14F10
Source: Materials Project
Functional: PBE+U
Structure: optimized geometry

```
MgMn12O14F10
1.0
4.813 0.009 0.011
0.010 5.715 -0.004
0.042 -0.012 15.348
Mg Mn O F
1 12 14 10
Direct
0.994 0.602 0.089
0.994 0.162 0.414
0.008 0.856 0.252
0.030 0.138 0.078
0.040 0.176 0.738
0.015 0.831 0.579
0.040 0.861 0.899
0.502 0.359 0.591
0.500 0.337 0.919
0.499 0.344 0.258
0.499 0.634 0.096
0.502 0.656 0.426
0.484 0.641 0.747
0.209 0.123 0.305
0.228 0.117 0.632
0.230 0.111 0.969
0.220 0.864 0.137
0.204 0.882 0.470
0.255 0.897 0.791
0.275 0.388 0.144
0.279 0.598 0.644
0.282 0.407 0.811
0.731 0.386 0.031
0.753 0.621 0.198
0.708 0.384 0.366
0.717 0.612 0.531
0.719 0.385 0.693
0.266 0.623 0.319
0.259 0.381 0.486
0.241 0.615 0.982
0.720 0.635 0.860
0.771 0.118 0.183
0.748 0.125 0.526
0.747 0.892 0.353
0.766 0.853 0.025
0.795 0.139 0.848
0.771 0.868 0.690
```

Properties
The value obtained for the calculated total energy is -6.708 eV per atom. Its energy above the most stable polymorph in this dataset is 44 meV/atom. Its volume is 422 Å³/cell. The value obtained for the formation energy is -2.2298 eV/atom.

=====

Compound: Li9Mn2Co5O16
Source: Materials Project
Functional: PBE+U
Structure: optimized geometry

```
Li9Mn2Co5O16
1.0
-3.362 -5.101 -8.710
-1.327 -6.991 -7.909
-7.273 -6.978 2.004
Li Mn Co O
9 2 5 16
Direct
0.620 0.620 0.817
0.886 0.886 0.424
0.118 0.118 0.087
0.121 0.121 0.560
0.379 0.379 0.182
0.622 0.622 0.313
0.875 0.875 0.938
0.382 0.382 0.680
0.498 0.498 0.251
0.998 0.998 0.010
0.251 0.251 0.624
0.750 0.750 0.877
0.005 0.005 0.478
0.249 0.249 0.126
0.499 0.499 0.746
0.751 0.751 0.372
0.556 0.556 0.027
0.807 0.807 0.646
0.061 0.061 0.293
0.055 0.055 0.793
0.302 0.302 0.419
0.557 0.557 0.539
0.808 0.808 0.152
0.304 0.304 0.907
0.693 0.693 0.604
0.941 0.941 0.200
0.199 0.199 0.830
0.195 0.195 0.344
0.445 0.445 0.969
0.691 0.691 0.095
0.940 0.940 0.724
0.441 0.441 0.473
```

Properties
The value obtained for the calculated total energy is -5.793 eV per atom. Its energy above the most stable polymorph in this dataset is 61 meV/atom. Its volume is 288 Å³/cell. The value obtained for the formation energy is -1.8029 eV/atom.